! PBE Ca31Sn20, relaxed; values from VASP
&SYSTEM
  ibrav = 0, nat = 102, ntyp = 2
/
ATOMIC_SPECIES
Ca 40.08 Ca.upf
Sn 118.71 Sn.upf
ATOMIC_POSITIONS crystal
Ca 0.001 0.737 0.843
Ca 0.001 0.873 0.299
Ca 0.059 0.924 0.709
Ca 0.074 0.574 0.500
Ca 0.075 0.373 0.872
Ca 0.076 0.785 0.135
Ca 0.107 0.842 0.843
Ca 0.127 0.425 0.128
Ca 0.150 0.285 0.709
Ca 0.158 0.001 0.265
Ca 0.163 0.337 0.500
Ca 0.164 0.664 0.500
Ca 0.202 0.075 0.701
Ca 0.215 0.350 0.291
Ca 0.237 0.501 0.843
Ca 0.250 0.750 0.500
Ca 0.263 0.107 0.265
Ca 0.285 0.576 0.135
Ca 0.298 0.999 0.872
Ca 0.336 0.836 0.500
Ca 0.337 0.837 0.174
Ca 0.342 0.607 0.843
Ca 0.350 0.059 0.135
Ca 0.373 0.501 0.299
Ca 0.393 0.237 0.735
Ca 0.424 0.559 0.709
Ca 0.425 0.298 0.299
Ca 0.426 0.926 0.500
Ca 0.441 0.150 0.865
Ca 0.499 0.342 0.735
Ca 0.499 0.798 0.872
Ca 0.501 0.202 0.128
Ca 0.501 0.658 0.265
Ca 0.559 0.850 0.135
Ca 0.574 0.074 0.500
Ca 0.575 0.702 0.701
Ca 0.576 0.441 0.291
Ca 0.607 0.763 0.265
Ca 0.627 0.499 0.701
Ca 0.650 0.941 0.865
Ca 0.658 0.393 0.157
Ca 0.663 0.163 0.826
Ca 0.664 0.164 0.500
Ca 0.702 0.001 0.128
Ca 0.715 0.424 0.865
Ca 0.737 0.893 0.735
Ca 0.750 0.250 0.500
Ca 0.763 0.499 0.157
Ca 0.785 0.650 0.709
Ca 0.798 0.925 0.299
Ca 0.836 0.336 0.500
Ca 0.837 0.663 0.500
Ca 0.842 0.999 0.735
Ca 0.850 0.715 0.291
Ca 0.873 0.575 0.872
Ca 0.893 0.158 0.157
Ca 0.924 0.215 0.865
Ca 0.925 0.627 0.128
Ca 0.926 0.426 0.500
Ca 0.941 0.076 0.291
Ca 0.999 0.127 0.701
Ca 0.999 0.263 0.157
Sn 0.000 0.000 0.000
Sn 0.037 0.537 0.821
Sn 0.055 0.863 0.500
Sn 0.088 0.588 0.676
Sn 0.095 0.095 0.000
Sn 0.124 0.227 0.500
Sn 0.137 0.637 0.193
Sn 0.173 0.173 0.000
Sn 0.216 0.037 0.500
Sn 0.227 0.727 0.103
Sn 0.250 0.250 0.000
Sn 0.273 0.376 0.500
Sn 0.284 0.784 0.821
Sn 0.327 0.327 0.000
Sn 0.363 0.555 0.500
Sn 0.376 0.876 0.103
Sn 0.405 0.405 0.000
Sn 0.412 0.088 0.500
Sn 0.445 0.945 0.807
Sn 0.463 0.284 0.500
Sn 0.500 0.500 0.000
Sn 0.537 0.716 0.500
Sn 0.555 0.055 0.193
Sn 0.588 0.912 0.500
Sn 0.595 0.595 0.000
Sn 0.624 0.124 0.897
Sn 0.637 0.445 0.500
Sn 0.673 0.673 0.000
Sn 0.716 0.216 0.179
Sn 0.727 0.624 0.500
Sn 0.750 0.750 0.000
Sn 0.773 0.273 0.897
Sn 0.784 0.963 0.500
Sn 0.827 0.827 0.000
Sn 0.863 0.363 0.807
Sn 0.876 0.773 0.500
Sn 0.905 0.905 0.000
Sn 0.912 0.412 0.324
Sn 0.945 0.137 0.500
Sn 0.963 0.463 0.179
CELL_PARAMETERS angstrom
-6.286 6.286 20.111
6.286 -6.286 20.111
6.286 6.286 -20.111
! - M_tot: 1.52 μB per formula unit
! - DFT formation energy: -33.46 eV per formula unit
! - DFT total energy: -0.2534 Ry per atom

! PBE CaSn, relaxed; values from VASP
&SYSTEM
  ibrav = 0, nat = 4, ntyp = 2
/
ATOMIC_SPECIES
Ca 40.08 Ca.upf
Sn 118.71 Sn.upf
ATOMIC_POSITIONS crystal
Ca 0.134 0.866 0.750
Ca 0.866 0.134 0.250
Sn 0.415 0.585 0.750
Sn 0.585 0.415 0.250
CELL_PARAMETERS angstrom
2.413 -5.800 0.000
2.413 5.800 0.000
0.000 0.000 4.388
! - DFT formation energy: -1.30 eV per formula unit
! - DFT total energy: -0.2687 Ry per atom

! PBE Ca3Sn, relaxed; values from VASP
&SYSTEM
  ibrav = 0, nat = 4, ntyp = 2
/
ATOMIC_SPECIES
Ca 40.08 Ca.upf
Sn 118.71 Sn.upf
ATOMIC_POSITIONS crystal
Ca 0.000 0.000 0.500
Ca 0.000 0.500 0.000
Ca 0.500 0.000 0.000
Sn 0.500 0.500 0.500
CELL_PARAMETERS angstrom
5.022 0.000 0.000
0.000 5.022 0.000
0.000 0.000 5.022
! - DFT formation energy: -1.75 eV per formula unit
! - DFT total energy: -0.2164 Ry per atom

! PBE Ca2Sn, relaxed; values from VASP
&SYSTEM
  ibrav = 0, nat = 3, ntyp = 2
/
ATOMIC_SPECIES
Ca 40.08 Ca.upf
Sn 118.71 Sn.upf
ATOMIC_POSITIONS crystal
Ca 0.250 0.250 0.250
Ca 0.750 0.750 0.750
Sn 0.000 0.000 0.000
CELL_PARAMETERS angstrom
0.000 3.786 3.786
3.786 0.000 3.786
3.786 3.786 0.000
! - DFT formation energy: -1.85 eV per formula unit
! - DFT total energy: -0.2419 Ry per atom

! PBE Ca5Sn3, relaxed; values from VASP
&SYSTEM
  ibrav = 0, nat = 16, ntyp = 2
/
ATOMIC_SPECIES
Ca 40.08 Ca.upf
Sn 118.71 Sn.upf
ATOMIC_POSITIONS crystal
Ca 0.000 0.000 0.000
Ca 0.032 0.532 0.849
Ca 0.183 0.032 0.500
Ca 0.317 0.817 0.849
Ca 0.468 0.317 0.500
Ca 0.500 0.500 0.000
Ca 0.532 0.683 0.500
Ca 0.683 0.183 0.151
Ca 0.817 0.968 0.500
Ca 0.968 0.468 0.151
Sn 0.126 0.374 0.500
Sn 0.250 0.250 0.000
Sn 0.374 0.874 0.249
Sn 0.626 0.126 0.751
Sn 0.750 0.750 0.000
Sn 0.874 0.626 0.500
CELL_PARAMETERS angstrom
-4.065 4.065 7.795
4.065 -4.065 7.795
4.065 4.065 -7.795
! - DFT formation energy: -5.17 eV per formula unit
! - DFT total energy: -0.2501 Ry per atom

! PBE Ca2Sn, relaxed; values from VASP
&SYSTEM
  ibrav = 0, nat = 12, ntyp = 2
/
ATOMIC_SPECIES
Ca 40.08 Ca.upf
Sn 118.71 Sn.upf
ATOMIC_POSITIONS crystal
Ca 0.023 0.250 0.185
Ca 0.158 0.250 0.570
Ca 0.342 0.750 0.070
Ca 0.477 0.750 0.685
Ca 0.523 0.250 0.315
Ca 0.658 0.250 0.930
Ca 0.842 0.750 0.430
Ca 0.977 0.750 0.815
Sn 0.249 0.250 0.891
Sn 0.251 0.750 0.391
Sn 0.749 0.250 0.609
Sn 0.751 0.750 0.109
CELL_PARAMETERS angstrom
7.916 0.000 0.000
0.000 5.084 0.000
0.000 0.000 9.617
! - DFT formation energy: -1.94 eV per formula unit
! - DFT total energy: -0.2441 Ry per atom